Entry 1:
The following is a DFT calculation (PBE with a Hubbard U) of a relaxed structure of CoRh2O4.

Lattice parameters (Å, degrees): 6.102 6.102 6.102 60.00 60.00 60.00
Sites, in units of the cell vectors:
1 Co 0.125 0.125 0.125
2 Co 0.875 0.875 0.875
3 Rh 0.000 0.500 0.500
4 Rh 0.500 0.000 0.500
5 Rh 0.500 0.500 0.000
6 Rh 0.500 0.500 0.500
7 O 0.260 0.260 0.260
8 O 0.260 0.260 0.720
9 O 0.260 0.720 0.260
10 O 0.280 0.740 0.740
11 O 0.720 0.260 0.260
12 O 0.740 0.280 0.740
13 O 0.740 0.740 0.280
14 O 0.740 0.740 0.740

Properties
The symmetry is Fd-3m (227). For the formation enthalpy at 0 K, the calculation gives -8.176 eV per formula unit.


Entry 2:
The following is a DFT calculation (PBE with a Hubbard U) of a relaxed structure of CoRh2O6.

Lattice parameters (Å, degrees): 5.183 5.183 10.648 94.75 94.75 120.06
Sites, in units of the cell vectors:
1 Co 0.000 0.000 0.000
2 Rh 0.333 0.667 0.000
3 Rh 0.667 0.333 0.000
4 O 0.031 0.711 0.091
5 O 0.289 0.969 0.909
6 O 0.350 0.350 0.091
7 O 0.650 0.650 0.909
8 O 0.711 0.031 0.091
9 O 0.969 0.289 0.909

Properties
The symmetry is C2/m (12). For the formation enthalpy at 0 K, the calculation gives -9.219 eV per formula unit.


What is the formation enthalpy at 0 K in the second record?
-9.219 eV per formula unit


Look up the formation enthalpy at 0 K of the second one.
-9.219 eV per formula unit


Which of these has the lowest formation enthalpy at 0 K?
CoRh2O6